## BaSrCeZrO6 (PBE)

Data for crystalline BaSrCeZrO6 at its relaxed geometry.

CIF file:
```
data_BaSrCeZrO6
_chemical_formula_sum 'Ba2 Sr2 Ce2 Zr2 O12'
_cell_length_a 6.0682
_cell_length_b 6.0927
_cell_length_c 8.5830
_cell_angle_alpha 90.17
_cell_angle_beta 90.15
_cell_angle_gamma 90.23
_space_group_name_H-M_alt 'P 1'
_space_group_IT_number 1
_space_group_name_Hall 'P 1'
loop_
_atom_site_label
_atom_site_type_symbol
_atom_site_fract_x
_atom_site_fract_y
_atom_site_fract_z
_atom_site_occupancy
Ba1 Ba 0.5057 0.5240 0.2499 1
Ba2 Ba 0.4943 0.4760 0.7501 1
Sr1 Sr 0.9944 0.0310 0.2513 1
Sr2 Sr 0.0056 0.9690 0.7487 1
Ce1 Ce 0.0000 0.5000 0.0000 1
Ce2 Ce 0.5000 0.0000 0.5000 1
Zr1 Zr 0.5000 0.0000 0.0000 1
Zr2 Zr 0.0000 0.5000 0.5000 1
O1 O 0.2212 0.2059 0.9535 1
O2 O 0.2750 0.7114 0.5343 1
O3 O 0.7788 0.7941 0.0465 1
O4 O 0.7250 0.2886 0.4657 1
O5 O 0.2902 0.7242 0.9639 1
O6 O 0.2034 0.2185 0.5447 1
O7 O 0.7098 0.2758 0.0361 1
O8 O 0.7966 0.7815 0.4553 1
O9 O 0.4133 0.9933 0.2422 1
O10 O 0.0666 0.4648 0.2575 1
O11 O 0.5867 0.0067 0.7578 1
O12 O 0.9334 0.5352 0.7425 1
```

- E above lowest polymorph: 0 meV/atom
- Formation enthalpy at 0 K: -3.60 eV/atom
- E (MP2020): -8.381 eV/atom